[1]
A relaxed structure of Li9Mn2Co5O16. Source: the Materials Project database, functional PBE+U.

a b c (Å): 2.958 9.855 10.102
angles (deg): 78.88 87.13 86.95
Space group P1 (No. 1)
Symmetry-distinct sites (fractional):
Li (0.000, 0.000, 0.000) [1 per cell]
Li (0.002, 0.504, 0.750) [1 per cell]
Li (0.485, 0.494, 0.492) [1 per cell]
Li (0.499, 0.496, 0.001) [1 per cell]
Li (0.501, 0.003, 0.750) [1 per cell]
Li (0.504, 0.002, 0.245) [1 per cell]
Li (0.510, 0.259, 0.373) [1 per cell]
Li (0.987, 0.002, 0.493) [1 per cell]
Li (0.995, 0.491, 0.254) [1 per cell]
Mn (0.993, 0.251, 0.618) [1 per cell]
Mn (0.995, 0.748, 0.876) [1 per cell]
Co (0.002, 0.248, 0.133) [1 per cell]
Co (0.487, 0.247, 0.876) [1 per cell]
Co (0.496, 0.748, 0.623) [1 per cell]
Co (0.502, 0.750, 0.123) [1 per cell]
Co (0.996, 0.753, 0.370) [1 per cell]
O (0.003, 0.369, 0.452) [1 per cell]
O (0.014, 0.865, 0.689) [1 per cell]
O (0.021, 0.357, 0.946) [1 per cell]
O (0.033, 0.865, 0.185) [1 per cell]
O (0.462, 0.627, 0.811) [1 per cell]
O (0.468, 0.354, 0.689) [1 per cell]
O (0.476, 0.139, 0.055) [1 per cell]
O (0.491, 0.639, 0.306) [1 per cell]
O (0.508, 0.870, 0.434) [1 per cell]
O (0.519, 0.141, 0.569) [1 per cell]
O (0.528, 0.365, 0.179) [1 per cell]
O (0.528, 0.866, 0.943) [1 per cell]
O (0.964, 0.137, 0.807) [1 per cell]
O (0.968, 0.635, 0.060) [1 per cell]
O (0.983, 0.636, 0.562) [1 per cell]
O (0.995, 0.134, 0.289) [1 per cell]

Total energy after the MP2020 corrections: -6.4970 eV/atom
Calculated volume: 9.010 Å³ per atom
Energy relative to the elements: -5566 kJ/mol of formula units

[2]
A relaxed structure of Cs2CrH2Cl5O. Source: the Materials Project database, functional PBE+U.

a b c (Å): 9.768 8.164 14.420
angles (deg): 90.00 106.13 90.00
Space group Pm (No. 6)
Symmetry-distinct sites (fractional):
Cs (0.000, 0.000, 0.000) [1 per cell]
Cs (0.083, 0.000, 0.639) [1 per cell]
Cs (0.165, 0.500, 0.611) [1 per cell]
Cs (0.248, 0.500, 0.250) [1 per cell]
Cs (0.500, 0.000, 0.500) [1 per cell]
Cs (0.583, 0.000, 0.139) [1 per cell]
Cs (0.665, 0.500, 0.111) [1 per cell]
Cs (0.748, 0.500, 0.750) [1 per cell]
Cr (0.044, 0.000, 0.318) [1 per cell]
Cr (0.204, 0.500, 0.932) [1 per cell]
Cr (0.545, 0.000, 0.818) [1 per cell]
Cr (0.704, 0.500, 0.431) [1 per cell]
H (0.321, 0.098, 0.893) [2 per cell]
H (0.427, 0.402, 0.856) [2 per cell]
H (0.821, 0.098, 0.393) [2 per cell]
H (0.927, 0.402, 0.357) [2 per cell]
Cl (0.009, 0.500, 0.996) [1 per cell]
Cl (0.100, 0.290, 0.818) [2 per cell]
Cl (0.148, 0.210, 0.431) [2 per cell]
Cl (0.239, 0.000, 0.253) [1 per cell]
Cl (0.321, 0.290, 0.040) [2 per cell]
Cl (0.427, 0.210, 0.709) [2 per cell]
Cl (0.509, 0.500, 0.496) [1 per cell]
Cl (0.599, 0.290, 0.318) [2 per cell]
Cl (0.649, 0.210, 0.931) [2 per cell]
Cl (0.739, 0.000, 0.753) [1 per cell]
Cl (0.821, 0.290, 0.540) [2 per cell]
Cl (0.927, 0.210, 0.209) [2 per cell]
O (0.368, 0.000, 0.876) [1 per cell]
O (0.382, 0.500, 0.874) [1 per cell]
O (0.866, 0.000, 0.375) [1 per cell]
O (0.881, 0.500, 0.374) [1 per cell]

Total energy after the MP2020 corrections: -4.4554 eV/atom
Calculated volume: 25.103 Å³ per atom
Energy relative to the elements: -1601 kJ/mol of formula units

[3]
A relaxed structure of Ba2NbVO6. Source: the Materials Project database, functional PBE+U.

a b c (Å): 5.794 5.807 10.044
angles (deg): 73.69 73.42 60.24
Space group P-1 (No. 2)
Symmetry-distinct sites (fractional):
Ba (0.125, 0.125, 0.124) [2 per cell]
Ba (0.374, 0.376, 0.374) [2 per cell]
Nb (0.251, 0.249, 0.748) [2 per cell]
V (0.000, 0.000, 0.500) [1 per cell]
V (0.500, 0.500, 0.000) [1 per cell]
O (0.121, 0.625, 0.124) [2 per cell]
O (0.130, 0.127, 0.628) [2 per cell]
O (0.132, 0.616, 0.629) [2 per cell]
O (0.377, 0.877, 0.875) [2 per cell]
O (0.378, 0.873, 0.372) [2 per cell]
O (0.381, 0.379, 0.879) [2 per cell]

Total energy after the MP2020 corrections: -8.3657 eV/atom
Calculated volume: 13.861 Å³ per atom
Energy relative to the elements: -2986 kJ/mol of formula units

[4]
A relaxed structure of FeP4O11. Source: the Materials Project database, functional PBE+U.

a b c (Å): 5.476 22.642 7.564
angles (deg): 90.00 109.43 90.00
Space group P2_1/c (No. 14)
Symmetry-distinct sites (fractional):
Fe (0.003, 0.113, 0.372) [4 per cell]
P (0.310, 0.072, 0.818) [4 per cell]
P (0.332, 0.679, 0.553) [4 per cell]
P (0.403, 0.696, 0.965) [4 per cell]
P (0.405, 0.034, 0.209) [4 per cell]
O (0.081, 0.075, 0.648) [4 per cell]
O (0.099, 0.655, 0.407) [4 per cell]
O (0.195, 0.682, 0.044) [4 per cell]
O (0.225, 0.043, 0.315) [4 per cell]
O (0.237, 0.046, 0.986) [4 per cell]
O (0.270, 0.695, 0.735) [4 per cell]
O (0.338, 0.562, 0.247) [4 per cell]
O (0.347, 0.164, 0.482) [4 per cell]
O (0.422, 0.136, 0.887) [4 per cell]
O (0.443, 0.539, 0.697) [4 per cell]
O (0.469, 0.733, 0.496) [4 per cell]

Total energy after the MP2020 corrections: -7.7619 eV/atom
Calculated volume: 13.820 Å³ per atom
Energy relative to the elements: -3825 kJ/mol of formula units

[5]
A relaxed structure of Eu2CoTe2S2O14. Source: the Materials Project database, functional PBE+U.

a b c (Å): 5.304 8.063 8.346
angles (deg): 63.40 73.81 86.40
Space group P-1 (No. 2)
Symmetry-distinct sites (fractional):
Eu (0.091, 0.254, 0.010) [2 per cell]
Co (0.000, 0.000, 0.500) [1 per cell]
Te (0.480, 0.735, 0.646) [2 per cell]
S (0.230, 0.754, 0.256) [2 per cell]
O (0.093, 0.594, 0.266) [2 per cell]
O (0.123, 0.777, 0.430) [2 per cell]
O (0.182, 0.922, 0.091) [2 per cell]
O (0.247, 0.932, 0.648) [2 per cell]
O (0.267, 0.573, 0.886) [2 per cell]
O (0.268, 0.174, 0.279) [2 per cell]
O (0.485, 0.272, 0.770) [2 per cell]

Total energy after the MP2020 corrections: -7.4545 eV/atom
Calculated volume: 14.556 Å³ per atom
Energy relative to the elements: -4351 kJ/mol of formula units

[6]
A relaxed structure of Ba2Li3Y3Mo8O32. Source: the Materials Project database, functional PBE+U.

a b c (Å): 5.293 6.977 19.327
angles (deg): 89.05 88.90 68.04
Space group P1 (No. 1)
Symmetry-distinct sites (fractional):
Ba (0.000, 0.000, 0.000) [1 per cell]
Ba (0.059, 0.882, 0.472) [1 per cell]
Li (0.340, 0.311, 0.477) [1 per cell]
Li (0.725, 0.567, 0.993) [1 per cell]
Li (0.880, 0.233, 0.199) [1 per cell]
Y (0.173, 0.646, 0.702) [1 per cell]
Y (0.182, 0.647, 0.263) [1 per cell]
Y (0.887, 0.236, 0.768) [1 per cell]
Mo (0.295, 0.420, 0.885) [1 per cell]
Mo (0.298, 0.414, 0.085) [1 per cell]
Mo (0.460, 0.058, 0.324) [1 per cell]
Mo (0.483, 0.061, 0.643) [1 per cell]
Mo (0.579, 0.820, 0.826) [1 per cell]
Mo (0.599, 0.824, 0.143) [1 per cell]
Mo (0.765, 0.465, 0.384) [1 per cell]
Mo (0.767, 0.462, 0.584) [1 per cell]
O (0.026, 0.237, 0.416) [1 per cell]
O (0.031, 0.640, 0.052) [1 per cell]
O (0.096, 0.337, 0.944) [1 per cell]
O (0.106, 0.460, 0.802) [1 per cell]
O (0.137, 0.232, 0.097) [1 per cell]
O (0.210, 0.283, 0.283) [1 per cell]
O (0.253, 0.978, 0.698) [1 per cell]
O (0.257, 0.029, 0.837) [1 per cell]
O (0.301, 0.896, 0.199) [1 per cell]
O (0.309, 0.658, 0.910) [1 per cell]
O (0.321, 0.116, 0.562) [1 per cell]
O (0.333, 0.850, 0.340) [1 per cell]
O (0.422, 0.644, 0.602) [1 per cell]
O (0.432, 0.467, 0.165) [1 per cell]
O (0.489, 0.771, 0.060) [1 per cell]
O (0.507, 0.539, 0.453) [1 per cell]
O (0.520, 0.278, 0.691) [1 per cell]
O (0.542, 0.602, 0.777) [1 per cell]
O (0.554, 0.344, 0.016) [1 per cell]
O (0.569, 0.108, 0.408) [1 per cell]
O (0.616, 0.426, 0.306) [1 per cell]
O (0.640, 0.236, 0.866) [1 per cell]
O (0.712, 0.033, 0.128) [1 per cell]
O (0.740, 0.765, 0.907) [1 per cell]
O (0.751, 0.224, 0.559) [1 per cell]
O (0.766, 0.967, 0.272) [1 per cell]
O (0.805, 0.851, 0.631) [1 per cell]
O (0.809, 0.902, 0.770) [1 per cell]
O (0.864, 0.615, 0.188) [1 per cell]
O (0.937, 0.645, 0.370) [1 per cell]
O (0.957, 0.421, 0.667) [1 per cell]
O (0.963, 0.543, 0.524) [1 per cell]

Total energy after the MP2020 corrections: -8.2430 eV/atom
Calculated volume: 13.787 Å³ per atom
Energy relative to the elements: -11732 kJ/mol of formula units

[7]
A relaxed structure of V3P2O8. Source: the Materials Project database, functional PBE+U.

a b c (Å): 8.759 11.619 6.395
angles (deg): 90.00 99.40 90.00
Space group P2_1/c (No. 14)
Symmetry-distinct sites (fractional):
V (0.070, 0.115, 0.137) [4 per cell]
V (0.277, 0.086, 0.669) [4 per cell]
V (0.361, 0.690, 0.617) [4 per cell]
P (0.090, 0.633, 0.887) [4 per cell]
P (0.397, 0.088, 0.195) [4 per cell]
O (0.065, 0.199, 0.604) [4 per cell]
O (0.074, 0.567, 0.672) [4 per cell]
O (0.132, 0.561, 0.091) [4 per cell]
O (0.224, 0.720, 0.872) [4 per cell]
O (0.272, 0.079, 0.992) [4 per cell]
O (0.298, 0.128, 0.361) [4 per cell]
O (0.478, 0.531, 0.748) [4 per cell]
O (0.481, 0.681, 0.334) [4 per cell]

Total energy after the MP2020 corrections: -8.4710 eV/atom
Calculated volume: 12.348 Å³ per atom
Energy relative to the elements: -3132 kJ/mol of formula units

[8]
A relaxed structure of Mo2Cl4O. Source: the Materials Project database, functional PBE+U.

a b c (Å): 10.502 6.474 6.717
angles (deg): 90.00 123.22 90.00
Space group C2 (No. 5)
Symmetry-distinct sites (fractional):
Mo (0.198, 0.000, 0.203) [4 per cell]
Cl (0.157, 0.783, 0.863) [4 per cell]
Cl (0.236, 0.170, 0.575) [4 per cell]
O (0.000, 0.134, 0.000) [2 per cell]

Total energy after the MP2020 corrections: -5.6463 eV/atom
Calculated volume: 27.288 Å³ per atom
Energy relative to the elements: -530 kJ/mol of formula units

[9]
A relaxed structure of MnSO5. Source: the Materials Project database, functional PBE+U.

a b c (Å): 5.137 5.465 6.929
angles (deg): 106.61 105.41 99.68
Space group P-1 (No. 2)
Symmetry-distinct sites (fractional):
Mn (0.000, 0.000, 0.000) [1 per cell]
Mn (0.000, 0.000, 0.500) [1 per cell]
S (0.340, 0.679, 0.252) [2 per cell]
O (0.088, 0.929, 0.755) [2 per cell]
O (0.131, 0.692, 0.370) [2 per cell]
O (0.281, 0.404, 0.114) [2 per cell]
O (0.329, 0.865, 0.133) [2 per cell]
O (0.373, 0.244, 0.584) [2 per cell]

Total energy after the MP2020 corrections: -7.1328 eV/atom
Calculated volume: 12.381 Å³ per atom
Energy relative to the elements: -1147 kJ/mol of formula units

[10]
A relaxed structure of Li9Mn2Co5O16. Source: the Materials Project database, functional PBE+U.

a b c (Å): 2.947 10.151 10.647
angles (deg): 113.90 94.97 92.44
Space group P1 (No. 1)
Symmetry-distinct sites (fractional):
Li (0.000, 0.000, 0.000) [1 per cell]
Li (0.008, 0.494, 0.998) [1 per cell]
Li (0.247, 0.359, 0.485) [1 per cell]
Li (0.260, 0.868, 0.499) [1 per cell]
Li (0.510, 0.742, 0.998) [1 per cell]
Li (0.519, 0.249, 0.001) [1 per cell]
Li (0.650, 0.183, 0.256) [1 per cell]
Li (0.740, 0.122, 0.491) [1 per cell]
Li (0.755, 0.616, 0.494) [1 per cell]
Mn (0.121, 0.936, 0.247) [1 per cell]
Mn (0.880, 0.057, 0.748) [1 per cell]
Co (0.137, 0.422, 0.245) [1 per cell]
Co (0.376, 0.305, 0.742) [1 per cell]
Co (0.385, 0.807, 0.750) [1 per cell]
Co (0.618, 0.678, 0.243) [1 per cell]
Co (0.880, 0.556, 0.746) [1 per cell]
O (0.037, 0.719, 0.134) [1 per cell]
O (0.074, 0.240, 0.133) [1 per cell]
O (0.191, 0.129, 0.363) [1 per cell]
O (0.208, 0.637, 0.355) [1 per cell]
O (0.281, 0.087, 0.627) [1 per cell]
O (0.315, 0.590, 0.633) [1 per cell]
O (0.446, 0.524, 0.861) [1 per cell]
O (0.479, 0.024, 0.870) [1 per cell]
O (0.555, 0.473, 0.135) [1 per cell]
O (0.588, 0.957, 0.137) [1 per cell]
O (0.652, 0.890, 0.351) [1 per cell]
O (0.725, 0.406, 0.363) [1 per cell]
O (0.809, 0.338, 0.630) [1 per cell]
O (0.814, 0.840, 0.632) [1 per cell]
O (0.945, 0.273, 0.860) [1 per cell]
O (0.949, 0.775, 0.863) [1 per cell]

Total energy after the MP2020 corrections: -6.4970 eV/atom
Calculated volume: 9.033 Å³ per atom
Energy relative to the elements: -5566 kJ/mol of formula units

[11]
A relaxed structure of Mn2Cr3Sb3O16. Source: the Materials Project database, functional PBE+U.

a b c (Å): 10.555 6.124 8.939
angles (deg): 90.00 90.48 90.00
Space group Cm (No. 8)
Symmetry-distinct sites (fractional):
Mn (0.000, 0.000, 0.000) [2 per cell]
Mn (0.169, 0.500, 0.483) [2 per cell]
Cr (0.157, 0.000, 0.716) [2 per cell]
Cr (0.241, 0.254, 0.213) [4 per cell]
Sb (0.409, 0.252, 0.715) [4 per cell]
Sb (0.493, 0.000, 0.210) [2 per cell]
O (0.063, 0.212, 0.847) [4 per cell]
O (0.091, 0.290, 0.352) [4 per cell]
O (0.156, 0.500, 0.102) [2 per cell]
O (0.157, 0.000, 0.101) [2 per cell]
O (0.244, 0.253, 0.607) [4 per cell]
O (0.302, 0.500, 0.346) [2 per cell]
O (0.327, 0.000, 0.826) [2 per cell]
O (0.329, 0.000, 0.315) [2 per cell]
O (0.349, 0.500, 0.852) [2 per cell]
O (0.415, 0.259, 0.104) [4 per cell]
O (0.491, 0.500, 0.597) [2 per cell]
O (0.496, 0.000, 0.608) [2 per cell]

Total energy after the MP2020 corrections: -7.7158 eV/atom
Calculated volume: 12.038 Å³ per atom
Energy relative to the elements: -4471 kJ/mol of formula units

Q: Which value of calculated volume does entry 9 give?
A: 12.381 Å³ per atom